[1]
Computed, not measured: an optimized crystal structure of Li10GeP2Se12 at the PBE level of DFT.

Unit cell a=9.0528 b=9.3998 c=13.6912 alpha=91.93 beta=90.69 gamma=90.32
Positions (direct):
Li1 0.0000 0.0000 0.0000
Li2 0.0008 0.0120 0.7272
Li3 0.0085 0.4715 0.0685
Li4 0.0190 0.9785 0.4078
Li5 0.0397 0.4669 0.3435
Li6 0.2208 0.7696 0.1439
Li7 0.2440 0.7688 0.6723
Li8 0.4728 0.0704 0.4732
Li9 0.4787 0.5143 0.6380
Li10 0.4864 0.0093 0.9698
Li11 0.4856 0.4792 0.0828
Li12 0.4963 0.4643 0.3676
Li13 0.4972 0.9740 0.2023
Li14 0.5030 0.0124 0.7247
Li15 0.5125 0.5440 0.8763
Li16 0.7175 0.7679 0.4697
Li17 0.7520 0.2462 0.7676
Li18 0.7644 0.2187 0.2650
Li19 0.9884 0.5101 0.5752
Li20 0.9968 0.5171 0.8506
Ge1 0.2520 0.7399 0.9011
Ge2 0.7641 0.2445 0.5346
P1 0.2479 0.2183 0.2197
P2 0.2644 0.7347 0.4024
P3 0.7432 0.2625 0.0288
P4 0.7477 0.7678 0.7111
Se1 0.0307 0.7194 0.9916
Se2 0.0512 0.1985 0.3115
Se3 0.0645 0.7441 0.3051
Se4 0.2437 0.4358 0.1617
Se5 0.2468 0.9189 0.5095
Se6 0.2556 0.9648 0.8223
Se7 0.2588 0.5280 0.4792
Se8 0.2606 0.0430 0.1043
Se9 0.2607 0.5441 0.7828
Se10 0.4577 0.1982 0.3085
Se11 0.4595 0.7325 0.0111
Se12 0.4738 0.7380 0.3170
Se13 0.5359 0.2428 0.6243
Se14 0.5417 0.2838 0.9347
Se15 0.5446 0.7866 0.6163
Se16 0.7408 0.5575 0.7789
Se17 0.7421 0.0481 0.0942
Se18 0.7463 0.0462 0.4187
Se19 0.7514 0.4366 0.1440
Se20 0.7519 0.9513 0.8195
Se21 0.7726 0.4562 0.4392
Se22 0.9448 0.7867 0.6143
Se23 0.9464 0.2669 0.9372
Se24 0.9743 0.2523 0.6403

polymorph energy (0 for the lowest one)	0.0	meV per atom
total energy	-3.883	eV per atom
E_form	-1.0499	eV per atom
mass density	3.28	Mg/m³

[2]
Computed, not measured: an optimized crystal structure of ErC3O8 at the PBE level of DFT.

Unit cell a=7.2315 b=8.8851 c=12.6869 alpha=90.00 beta=90.00 gamma=90.00
Positions (direct):
Er1 0.2501 0.0287 0.1991
Er2 0.2499 0.9713 0.6991
Er3 0.7501 0.4713 0.8009
Er4 0.7499 0.5287 0.3009
C1 0.0243 0.6518 0.7429
C2 0.0517 0.7880 0.4544
C3 0.0584 0.2764 0.4612
C4 0.4416 0.7236 0.9612
C5 0.4483 0.2120 0.9544
C6 0.4757 0.3482 0.2429
C7 0.5243 0.8482 0.2571
C8 0.5517 0.7120 0.5456
C9 0.5584 0.2236 0.5388
C10 0.9416 0.7764 0.0388
C11 0.9483 0.2880 0.0456
C12 0.9757 0.1518 0.7571
O1 0.0120 0.8595 0.0991
O2 0.0178 0.1941 0.0974
O3 0.0515 0.5310 0.7981
O4 0.0774 0.0376 0.3314
O5 0.1212 0.8738 0.5121
O6 0.1281 0.2065 0.5286
O7 0.1433 0.1727 0.7937
O8 0.1555 0.7461 0.7265
O9 0.3445 0.2539 0.2265
O10 0.3567 0.8273 0.2937
O11 0.3719 0.7935 0.0286
O12 0.3788 0.1262 0.0121
O13 0.4226 0.9624 0.8314
O14 0.4485 0.4690 0.2981
O15 0.4822 0.8059 0.5974
O16 0.4880 0.1405 0.5991
O17 0.5120 0.6405 0.9009
O18 0.5178 0.3059 0.9026
O19 0.5515 0.9690 0.2019
O20 0.5774 0.4624 0.6686
O21 0.6212 0.6262 0.4879
O22 0.6281 0.2935 0.4714
O23 0.6433 0.3273 0.2063
O24 0.6555 0.7539 0.2735
O25 0.8445 0.2461 0.7735
O26 0.8567 0.6727 0.7063
O27 0.8719 0.7065 0.9714
O28 0.8788 0.3738 0.9879
O29 0.9226 0.5376 0.1686
O30 0.9485 0.0310 0.7019
O31 0.9822 0.6941 0.4026
O32 0.9880 0.3595 0.4009

polymorph energy (0 for the lowest one)	155.9	meV per atom
total energy	-7.483	eV per atom
E_form	-1.9547	eV per atom
mass density	2.70	Mg/m³

[3]
Computed, not measured: an optimized crystal structure of Ti4ZnO9 at the PBE level of DFT.

Unit cell a=8.5151 b=8.5151 c=5.0172 alpha=90.00 beta=90.00 gamma=90.00
Positions (direct):
Ti1 0.0303 0.6610 0.1233
Ti2 0.1610 0.9697 0.8767
Ti3 0.3390 0.5303 0.8767
Ti4 0.4697 0.8390 0.1233
Ti5 0.5303 0.1610 0.8767
Ti6 0.6610 0.4697 0.1233
Ti7 0.8390 0.0303 0.1233
Ti8 0.9697 0.3390 0.8767
Zn1 0.2500 0.2500 0.4649
Zn2 0.7500 0.7500 0.5351
O1 0.0226 0.3162 0.5509
O2 0.0402 0.1426 0.0251
O3 0.1426 0.4598 0.0251
O4 0.1838 0.0226 0.5509
O5 0.2500 0.7500 0.0000
O6 0.3162 0.4774 0.5509
O7 0.3574 0.0402 0.0251
O8 0.4598 0.3574 0.0251
O9 0.4774 0.1838 0.5509
O10 0.5226 0.8162 0.4491
O11 0.5402 0.6426 0.9749
O12 0.6426 0.9598 0.9749
O13 0.6838 0.5226 0.4491
O14 0.7500 0.2500 0.0000
O15 0.8162 0.9774 0.4491
O16 0.8574 0.5402 0.9749
O17 0.9598 0.8574 0.9749
O18 0.9774 0.6838 0.4491

total energy	-8.179	eV per atom
E_form	-3.0943	eV per atom
mass density	3.66	Mg/m³

[4]
Computed, not measured: an optimized crystal structure of Li3Eu at the PBE level of DFT.

Unit cell a=6.9244 b=6.9244 c=5.3913 alpha=90.00 beta=90.00 gamma=120.00
Positions (direct):
Li1 0.1452 0.2904 0.2500
Li2 0.1452 0.8548 0.2500
Li3 0.2904 0.1452 0.7500
Li4 0.7096 0.8548 0.2500
Li5 0.8548 0.1452 0.7500
Li6 0.8548 0.7096 0.7500
Eu1 0.3333 0.6667 0.7500
Eu2 0.6667 0.3333 0.2500

total energy	-3.906	eV per atom
E_form	0.0898	eV per atom
mass density	2.56	Mg/m³

[5]
Computed, not measured: an optimized crystal structure of Rb4Cl2O at the PBE level of DFT.

Unit cell a=8.3792 b=8.3792 c=8.3792 alpha=112.22 beta=112.22 gamma=104.10
Positions (direct):
Rb1 0.0821 0.2361 0.7192
Rb2 0.1129 0.7669 0.7808
Rb3 0.2331 0.0139 0.3460
Rb4 0.5169 0.3629 0.2808
Rb5 0.6371 0.9179 0.1540
Rb6 0.6679 0.8871 0.6540
Rb7 0.7639 0.4831 0.8460
Rb8 0.9861 0.3321 0.2192
Cl1 0.2670 0.6250 0.1420
Cl2 0.3750 0.5170 0.6420
Cl3 0.4830 0.1250 0.8580
Cl4 0.8750 0.7330 0.3580
O1 0.0000 0.0000 0.0000
O2 0.7500 0.2500 0.5000

total energy	-3.257	eV per atom
E_form	-1.5595	eV per atom
mass density	3.16	Mg/m³

[6]
Computed, not measured: an optimized crystal structure of Dy2Si3Rh at the PBE level of DFT.

Unit cell a=8.1821 b=8.1821 c=7.9107 alpha=90.00 beta=90.00 gamma=120.00
Positions (direct):
Dy1 0.0000 0.0000 0.2500
Dy2 0.0000 0.0000 0.7500
Dy3 0.0182 0.5091 0.2500
Dy4 0.4909 0.5091 0.2500
Dy5 0.4909 0.9818 0.2500
Dy6 0.5091 0.0182 0.7500
Dy7 0.5091 0.4909 0.7500
Dy8 0.9818 0.4909 0.7500
Si1 0.1668 0.3335 0.5007
Si2 0.1668 0.3335 0.9993
Si3 0.1668 0.8332 0.5007
Si4 0.1668 0.8332 0.9993
Si5 0.3335 0.1668 0.0007
Si6 0.3335 0.1668 0.4993
Si7 0.6665 0.8332 0.5007
Si8 0.6665 0.8332 0.9993
Si9 0.8332 0.1668 0.0007
Si10 0.8332 0.1668 0.4993
Si11 0.8332 0.6665 0.0007
Si12 0.8332 0.6665 0.4993
Rh1 0.3333 0.6667 0.5324
Rh2 0.3333 0.6667 0.9676
Rh3 0.6667 0.3333 0.0324
Rh4 0.6667 0.3333 0.4676

total energy	-6.411	eV per atom
E_form	-0.9353	eV per atom
mass density	7.42	Mg/m³

[7]
Computed, not measured: an optimized crystal structure of HgSb2O6 at the PBE level of DFT.

Unit cell a=4.9253 b=4.9253 c=9.8072 alpha=90.00 beta=90.00 gamma=90.00
Positions (direct):
Hg1 0.0000 0.0000 0.0000
Hg2 0.5000 0.5000 0.5000
Sb1 0.0000 0.0000 0.3315
Sb2 0.0000 0.0000 0.6685
Sb3 0.5000 0.5000 0.1685
Sb4 0.5000 0.5000 0.8315
O1 0.1747 0.1747 0.5000
O2 0.2099 0.2099 0.1873
O3 0.2099 0.2099 0.8127
O4 0.2901 0.7099 0.3127
O5 0.2901 0.7099 0.6873
O6 0.3253 0.6747 0.0000
O7 0.6747 0.3253 0.0000
O8 0.7099 0.2901 0.3127
O9 0.7099 0.2901 0.6873
O10 0.7901 0.7901 0.1873
O11 0.7901 0.7901 0.8127
O12 0.8253 0.8253 0.5000

polymorph energy (0 for the lowest one)	95.3	meV per atom
total energy	-5.318	eV per atom
E_form	-1.5257	eV per atom
mass density	7.54	Mg/m³

[8]
Computed, not measured: an optimized crystal structure of Cs4MgTi2Ag4S8 at the PBE level of DFT.

Unit cell a=6.0797 b=6.0797 c=14.3027 alpha=90.00 beta=90.00 gamma=90.00
Positions (direct):
Cs1 0.2395 0.2395 0.2571
Cs2 0.2395 0.7605 0.7429
Cs3 0.7605 0.2395 0.7429
Cs4 0.7605 0.7605 0.2571
Mg1 0.0000 0.0000 0.0000
Ti1 0.5000 0.5000 0.0000
Ti2 0.5000 0.5000 0.5000
Ag1 0.0000 0.5000 0.0000
Ag2 0.0000 0.5000 0.5000
Ag3 0.5000 0.0000 0.0000
Ag4 0.5000 0.0000 0.5000
S1 0.2546 0.2546 0.9006
S2 0.2546 0.7454 0.0994
S3 0.2859 0.2859 0.5977
S4 0.2859 0.7141 0.4023
S5 0.7141 0.2859 0.4023
S6 0.7141 0.7141 0.5977
S7 0.7454 0.2546 0.0994
S8 0.7454 0.7454 0.9006

polymorph energy (0 for the lowest one)	0.0	meV per atom
total energy	-4.352	eV per atom
E_form	-1.1215	eV per atom
mass density	4.21	Mg/m³

[9]
Computed, not measured: an optimized crystal structure of SrEuInBiO6 at the PBE level of DFT.

Unit cell a=5.9920 b=5.9920 c=5.9920 alpha=60.00 beta=60.00 gamma=60.00
Positions (direct):
Sr1 0.0000 0.0000 0.0000
Eu1 0.5000 0.5000 0.5000
In1 0.7500 0.7500 0.7500
Bi1 0.2500 0.2500 0.2500
O1 0.0007 0.0007 0.4993
O2 0.0007 0.4993 0.0007
O3 0.0007 0.4993 0.4993
O4 0.4993 0.0007 0.0007
O5 0.4993 0.0007 0.4993
O6 0.4993 0.4993 0.0007

polymorph energy (0 for the lowest one)	151.9	meV per atom
total energy	-6.651	eV per atom
E_form	-2.2360	eV per atom
mass density	7.20	Mg/m³

[10]
Computed, not measured: an optimized crystal structure of TcOs3 at the PBE level of DFT.

Unit cell a=5.5236 b=5.5236 c=4.3577 alpha=90.00 beta=90.00 gamma=120.00
Positions (direct):
Tc1 0.3333 0.6667 0.2500
Tc2 0.6667 0.3333 0.7500
Os1 0.1674 0.3348 0.7500
Os2 0.1674 0.8326 0.7500
Os3 0.3348 0.1674 0.2500
Os4 0.6652 0.8326 0.7500
Os5 0.8326 0.1674 0.2500
Os6 0.8326 0.6652 0.2500

total energy	-11.086	eV per atom
E_form	-0.0753	eV per atom
mass density	19.29	Mg/m³

[11]
Computed, not measured: an optimized crystal structure of Cu3Te2 at the PBE level of DFT.

Unit cell a=4.0482 b=4.0482 c=6.0448 alpha=90.00 beta=90.00 gamma=90.00
Positions (direct):
Cu1 0.0000 0.0000 0.0000
Cu2 0.0000 0.5000 0.7193
Cu3 0.5000 0.0000 0.7193
Te1 0.0000 0.0000 0.4458
Te2 0.5000 0.5000 0.0207

total energy	-3.750	eV per atom
E_form	-0.2018	eV per atom
mass density	7.47	Mg/m³

[12]
Computed, not measured: an optimized crystal structure of K3Na2SnAs3 at the PBE level of DFT.

Unit cell a=10.8888 b=10.8888 c=15.6149 alpha=90.00 beta=90.00 gamma=36.75
Positions (direct):
K1 0.0661 0.6005 0.1754
K2 0.1005 0.5661 0.6754
K3 0.2403 0.7597 0.8223
K4 0.2597 0.7403 0.3223
K5 0.3995 0.9339 0.1754
K6 0.4339 0.8995 0.6754
K7 0.5661 0.1005 0.3246
K8 0.6005 0.0661 0.8246
K9 0.7403 0.2597 0.6777
K10 0.7597 0.2403 0.1777
K11 0.8995 0.4339 0.3246
K12 0.9339 0.3995 0.8246
Na1 0.0814 0.0814 0.0000
Na2 0.2452 0.2452 0.0000
Na3 0.2548 0.2548 0.5000
Na4 0.4186 0.4186 0.5000
Na5 0.5814 0.5814 0.5000
Na6 0.7452 0.7452 0.5000
Na7 0.7548 0.7548 0.0000
Na8 0.9186 0.9186 0.0000
Sn1 0.0886 0.0886 0.5000
Sn2 0.4114 0.4114 0.0000
Sn3 0.5886 0.5886 0.0000
Sn4 0.9114 0.9114 0.5000
As1 0.0637 0.6185 0.3943
As2 0.1185 0.5637 0.8943
As3 0.2061 0.7939 0.5949
As4 0.2939 0.7061 0.0949
As5 0.3815 0.9363 0.3943
As6 0.4363 0.8815 0.8943
As7 0.5637 0.1185 0.1057
As8 0.6185 0.0637 0.6057
As9 0.7061 0.2939 0.9051
As10 0.7939 0.2061 0.4051
As11 0.8815 0.4363 0.1057
As12 0.9363 0.3815 0.6057

total energy	-3.130	eV per atom
E_form	-0.4677	eV per atom
mass density	3.04	Mg/m³

[13]
Computed, not measured: an optimized crystal structure of Er2O3 at the PBE level of DFT.

Unit cell a=6.7699 b=6.7699 c=6.7699 alpha=31.49 beta=31.49 gamma=31.49
Positions (direct):
Er1 0.0000 0.0000 0.0000
Er2 0.4919 0.4919 0.4919
O1 0.1171 0.1171 0.1171
O2 0.3497 0.3497 0.3497
O3 0.8863 0.8863 0.8863

total energy	-8.304	eV per atom
E_form	-3.9208	eV per atom
mass density	8.45	Mg/m³

[14]
Computed, not measured: an optimized crystal structure of Li3CuPCO7 at the PBE level of DFT.

Unit cell a=5.1723 b=6.1950 c=8.6132 alpha=90.00 beta=102.63 gamma=90.00
Positions (direct):
Li1 0.1563 0.2500 0.0807
Li2 0.2398 0.5064 0.7169
Li3 0.2398 0.9936 0.7169
Li4 0.7602 0.0064 0.2831
Li5 0.7602 0.4936 0.2831
Li6 0.8437 0.7500 0.9193
Cu1 0.2514 0.7500 0.3186
Cu2 0.7486 0.2500 0.6814
P1 0.2924 0.2500 0.4104
P2 0.7076 0.7500 0.5896
C1 0.4119 0.7500 0.0193
C2 0.5881 0.2500 0.9807
O1 0.1738 0.0565 0.2996
O2 0.1738 0.4435 0.2996
O3 0.1990 0.7500 0.0788
O4 0.2065 0.2500 0.5691
O5 0.3531 0.2500 0.8911
O6 0.3819 0.7500 0.8667
O7 0.3976 0.7500 0.5571
O8 0.6024 0.2500 0.4429
O9 0.6181 0.2500 0.1333
O10 0.6469 0.7500 0.1089
O11 0.7935 0.7500 0.4309
O12 0.8010 0.2500 0.9212
O13 0.8262 0.5565 0.7004
O14 0.8262 0.9435 0.7004

polymorph energy (0 for the lowest one)	0.0	meV per atom
total energy	-6.384	eV per atom
E_form	-2.2078	eV per atom
mass density	2.95	Mg/m³